# 1
Below is a relaxed structure of Sc2Nb3Si4, with properties calculated at the r2SCAN level.

Energy relative to the elements (eV/atom): -0.854
Magnetic moment (μB/f.u.): 0.00
Uncorrected energy (Ry per atom): -1.142
Volume (Å³/atom): 16.92

The structure in POSCAR format:
```
Sc2Nb3Si4
1.0
-2.5263 -4.8016 3.9477
5.6120 0.3481 4.0148
-5.8521 9.1522 7.3867
Si Nb Sc
16 12 8
direct
0.0402 0.8870 0.2500
0.6672 0.9679 0.4610
0.8328 0.4679 0.5390
0.7058 0.8651 0.7500
0.7942 0.3651 0.2500
0.3328 0.0321 0.5390
0.6672 0.9679 0.0390
0.8328 0.4679 0.9610
0.1672 0.5321 0.4610
0.9598 0.1130 0.7500
0.1672 0.5321 0.0390
0.2058 0.6349 0.7500
0.3328 0.0321 0.9610
0.5402 0.6130 0.2500
0.4598 0.3870 0.7500
0.2942 0.1349 0.2500
0.8367 0.6765 0.3751
0.1623 0.5050 0.2500
0.1633 0.3235 0.6249
0.3367 0.8235 0.1249
0.8367 0.6765 0.1249
0.3367 0.8235 0.3751
0.6633 0.1765 0.6249
0.6633 0.1765 0.8751
0.3377 0.0050 0.7500
0.8377 0.4950 0.7500
0.6623 0.9950 0.2500
0.1633 0.3235 0.8751
0.0028 0.8257 0.5963
0.9972 0.1743 0.4037
0.5028 0.6743 0.5963
0.4972 0.3257 0.4037
0.9972 0.1743 0.0963
0.4972 0.3257 0.0963
0.5028 0.6743 0.9037
0.0028 0.8257 0.9037
```

# 2
Below is a relaxed structure of Nb2Se3, with properties calculated at the r2SCAN level.

Energy relative to the elements (eV/atom): -0.975
Magnetic moment (μB/f.u.): 0.00
Uncorrected energy (Ry per atom): -1.430
Volume (Å³/atom): 20.81

The structure in POSCAR format:
```
Nb2Se3
1.0
-1.1948 2.1755 2.4387
-5.9638 -0.0287 -2.8964
-0.4022 -7.0312 6.0753
Nb Se
4 6
direct
0.2500 0.3219 0.0023
0.7500 0.8857 0.3657
0.7500 0.6781 0.9977
0.2500 0.1143 0.6343
0.7500 0.2701 0.4878
0.2500 0.5250 0.7973
0.2500 0.9669 0.1575
0.7500 0.4750 0.2027
0.2500 0.7299 0.5122
0.7500 0.0331 0.8425
```

# 3
Below is a relaxed structure of Nb2Se9, with properties calculated at the r2SCAN level.

Energy relative to the elements (eV/atom): -0.581
Magnetic moment (μB/f.u.): 0.00
Uncorrected energy (Ry per atom): -1.234
Volume (Å³/atom): 27.88

The structure in POSCAR format:
```
Nb2Se9
1.0
8.3400 -0.1260 -0.6912
-0.4668 8.4921 -1.3975
-0.0592 -0.0895 8.6888
Nb Se
4 18
direct
0.4154 0.3618 0.3995
0.9116 0.9027 0.8619
0.5846 0.6382 0.6005
0.0884 0.0973 0.1381
0.8189 0.1786 0.9992
0.3346 0.4798 0.6834
0.2648 0.0788 0.4102
0.7352 0.9212 0.5898
0.0425 0.1886 0.8606
0.3921 0.2045 0.0939
0.4295 0.6489 0.3248
0.1811 0.8214 0.0008
0.9739 0.1903 0.4106
0.6079 0.7955 0.9061
0.0261 0.8097 0.5894
0.9006 0.6017 0.6913
0.9575 0.8114 0.1394
0.5705 0.3511 0.6752
0.4566 0.9037 0.7115
0.5434 0.0963 0.2885
0.0994 0.3983 0.3087
0.6654 0.5202 0.3166
```

# 4
Below is a relaxed structure of Nb2Se3, with properties calculated at the r2SCAN level.

Energy relative to the elements (eV/atom): -0.897
Magnetic moment (μB/f.u.): 0.00
Uncorrected energy (Ry per atom): -1.424
Volume (Å³/atom): 28.35

The structure in POSCAR format:
```
Nb2Se3
1.0
-1.0420 3.2653 0.4828
-2.3161 -2.5723 -0.0100
1.5922 -1.4862 13.4868
Se Nb
3 2
direct
0.6667 0.3333 0.6277
0.6667 0.3333 0.8749
0.3333 0.6667 0.3745
0.0000 0.0000 0.7518
0.0000 0.0000 0.4962
```

- Look up the uncorrected energy of the first one.
  -1.142 Ry per atom